Entry 1:
Below is TbMgS3 after structural relaxation, with properties calculated at the PBE level.

Lattice parameters (Å, degrees): 6.7140 6.7140 18.0555 90.00 90.00 120.00
With the nearest neighbours (Å) after each atom.
Element x y z (fractional)
Tb1 0.0000 0.0000 0.3467  6 S 2.72-2.76
Tb2 0.0000 0.0000 0.6533  6 S 2.72-2.76
Tb3 0.6667 0.3333 0.6800  6 S 2.72-2.76
Tb4 0.6667 0.3333 0.9867  6 S 2.72-2.76
Tb5 0.3333 0.6667 0.0133  6 S 2.72-2.76
Tb6 0.3333 0.6667 0.3200  6 S 2.72-2.76
Mg1 0.0000 0.0000 0.1536  6 S 2.57-2.68
Mg2 0.0000 0.0000 0.8464  6 S 2.57-2.68
Mg3 0.6667 0.3333 0.4869  6 S 2.57-2.68
Mg4 0.6667 0.3333 0.1797  6 S 2.57-2.68
Mg5 0.3333 0.6667 0.8203  6 S 2.57-2.68
Mg6 0.3333 0.6667 0.5131  6 S 2.57-2.68
S1 0.9827 0.3443 0.5798  2 Mg 2.57-2.68, 2 Tb 2.72-2.76
S2 0.0173 0.6557 0.4202  2 Mg 2.57-2.68, 2 Tb 2.72-2.76
S3 0.6557 0.6384 0.5798  2 Mg 2.57-2.68, 2 Tb 2.72-2.76
S4 0.3443 0.3616 0.4202  2 Mg 2.57-2.68, 2 Tb 2.72-2.76
S5 0.3616 0.0173 0.5798  2 Mg 2.57-2.68, 2 Tb 2.72-2.76
S6 0.6384 0.9827 0.4202  2 Mg 2.57-2.68, 2 Tb 2.72-2.76
S7 0.6494 0.6776 0.9132  2 Mg 2.57-2.68, 2 Tb 2.72-2.76
S8 0.6840 0.9890 0.7535  2 Mg 2.57-2.68, 2 Tb 2.72-2.76
S9 0.3224 0.9717 0.9132  2 Mg 2.57-2.68, 2 Tb 2.72-2.76
S10 0.0110 0.6949 0.7535  2 Mg 2.57-2.68, 2 Tb 2.72-2.76
S11 0.0283 0.3506 0.9132  2 Mg 2.57-2.68, 2 Tb 2.72-2.76
S12 0.3051 0.3160 0.7535  2 Mg 2.57-2.68, 2 Tb 2.72-2.76
S13 0.3160 0.0110 0.2465  2 Mg 2.57-2.68, 2 Tb 2.72-2.76
S14 0.3506 0.3224 0.0868  2 Mg 2.57-2.68, 2 Tb 2.72-2.76
S15 0.9890 0.3051 0.2465  2 Mg 2.57-2.68, 2 Tb 2.72-2.76
S16 0.6776 0.0283 0.0868  2 Mg 2.57-2.68, 2 Tb 2.72-2.76
S17 0.6949 0.6840 0.2465  2 Mg 2.57-2.68, 2 Tb 2.72-2.76
S18 0.9717 0.6494 0.0868  2 Mg 2.57-2.68, 2 Tb 2.72-2.76

Properties
polymorph energy (0 for the lowest one): 0 meV/atom
energy with MP2020 corrections: -5.36 eV per atom
formation enthalpy at 0 K: -1.632 eV per atom
total moment: 0.767 μB/f.u.

---

Entry 2:
Below is Co3Rh after structural relaxation, with properties calculated at the PBE level.

Lattice parameters (Å, degrees): 2.6034 2.6034 8.1810 90.00 90.00 120.00
With the nearest neighbours (Å) after each atom.
Element x y z (fractional)
Co1 0.0000 0.0000 0.0000  12 Co 2.47-2.60
Co2 0.6667 0.3333 0.2391  9 Co 2.47-2.60, 3 Rh 2.61
Co3 0.6667 0.3333 0.7609  9 Co 2.47-2.60, 3 Rh 2.61
Rh1 0.0000 0.0000 0.5000  6 Rh 2.60, 6 Co 2.61

Properties
formation enthalpy at 0 K: 0.231 eV per atom

---

Entry 3:
Below is ZrSn after structural relaxation, with properties calculated at the PBE level.

Lattice parameters (Å, degrees): 5.2270 9.5457 5.6112 90.00 90.00 90.00
With the nearest neighbours (Å) after each atom.
Element x y z (fractional)
Zr1 0.0000 0.0622 0.0000  6 Zr 3.05-3.29, 5 Sn 3.14-3.19
Zr2 0.0000 0.2638 0.4307  7 Sn 3.01-3.28, 2 Zr 3.09-3.14
Zr3 0.0000 0.7362 0.9307  7 Sn 3.01-3.28, 2 Zr 3.09-3.14
Zr4 0.0000 0.9378 0.5000  6 Zr 3.05-3.29, 5 Sn 3.14-3.19
Zr5 0.5000 0.2382 0.8092  7 Sn 3.03-3.18, 4 Zr 3.29-3.38
Zr6 0.5000 0.7618 0.3092  7 Sn 3.03-3.18, 4 Zr 3.29-3.38
Sn1 0.0000 0.3929 0.9207  6 Zr 3.01-3.28, 2 Sn 3.11
Sn2 0.0000 0.6071 0.4207  6 Zr 3.01-3.28, 2 Sn 3.11
Sn3 0.5000 0.0886 0.3081  9 Zr 3.12-3.18, 3 Sn 3.28-3.30
Sn4 0.5000 0.4313 0.3798  4 Zr 3.03-3.18, 5 Sn 3.10-3.30
Sn5 0.5000 0.5687 0.8798  4 Zr 3.03-3.18, 5 Sn 3.10-3.30
Sn6 0.5000 0.9114 0.8081  9 Zr 3.12-3.18, 3 Sn 3.28-3.30

Properties
formation enthalpy at 0 K: -0.283 eV per atom
total moment: 0.000 μB/f.u.

---

Entry 4:
Below is HfCrAgS4 after structural relaxation, with properties calculated at the PBE level.

Lattice parameters (Å, degrees): 11.9182 7.1733 12.9245 90.00 90.00 90.00
With the nearest neighbours (Å) after each atom.
Element x y z (fractional)
Hf1 0.1127 0.1007 0.0000  5 S 2.41-2.66
Hf2 0.1185 0.6287 0.6446  6 S 2.52-2.58
Hf3 0.3815 0.6287 0.1446  6 S 2.52-2.58
Hf4 0.3873 0.1007 0.5000  5 S 2.41-2.66
Hf5 0.6127 0.8993 0.0000  5 S 2.41-2.66
Hf6 0.6185 0.3713 0.6446  6 S 2.52-2.58
Hf7 0.8815 0.3713 0.1446  6 S 2.52-2.58
Hf8 0.8873 0.8993 0.5000  5 S 2.41-2.66
Cr1 0.1270 0.8649 0.3301  5 S 2.45-2.74
Cr2 0.1616 0.3733 0.2530  5 S 2.31-2.46
Cr3 0.3384 0.3733 0.7530  5 S 2.31-2.46
Cr4 0.3730 0.8649 0.8301  5 S 2.45-2.74
Cr5 0.6270 0.1351 0.3301  5 S 2.45-2.74
Cr6 0.6616 0.6267 0.2530  5 S 2.31-2.46
Cr7 0.8384 0.6267 0.7530  5 S 2.31-2.46
Cr8 0.8730 0.1351 0.8301  5 S 2.45-2.74
Ag1 0.1068 0.6242 0.9835  5 S 2.61-2.75
Ag2 0.1153 0.1153 0.6344  6 S 2.61-2.90
Ag3 0.3847 0.1153 0.1344  6 S 2.61-2.90
Ag4 0.3932 0.6242 0.4835  5 S 2.61-2.75
Ag5 0.6068 0.3758 0.9835  5 S 2.61-2.75
Ag6 0.6153 0.8847 0.6344  6 S 2.61-2.90
Ag7 0.8847 0.8847 0.1344  6 S 2.61-2.90
Ag8 0.8932 0.3758 0.4835  5 S 2.61-2.75
S1 0.0237 0.6042 0.2083  1 Cr 2.40, 1 Hf 2.52
S2 0.0319 0.1063 0.4376  1 Hf 2.41, 1 Cr 2.49, 1 Ag 2.61
S3 0.0336 0.1382 0.1914  1 Cr 2.41, 2 Hf 2.54-2.66, 1 Ag 2.65
S4 0.0382 0.6527 0.4596  1 Cr 2.50, 2 Hf 2.58, 1 Ag 2.65
S5 0.2282 0.6249 0.8149  2 Cr 2.37-2.45, 1 Hf 2.56, 1 Ag 2.62
S6 0.2287 0.1201 0.8329  2 Cr 2.46-2.51, 1 Hf 2.57
S7 0.2323 0.8653 0.0891  2 Hf 2.49-2.56, 2 Ag 2.62-2.66
S8 0.2395 0.3755 0.0891  1 Cr 2.31, 1 Hf 2.58
S9 0.2605 0.3755 0.5891  1 Cr 2.31, 1 Hf 2.58
S10 0.2677 0.8653 0.5891  2 Hf 2.49-2.56, 2 Ag 2.62-2.66
S11 0.2713 0.1201 0.3329  2 Cr 2.46-2.51, 1 Hf 2.57
S12 0.2718 0.6249 0.3149  2 Cr 2.37-2.45, 1 Hf 2.56, 1 Ag 2.62
S13 0.4618 0.6527 0.9596  1 Cr 2.50, 2 Hf 2.58, 1 Ag 2.65
S14 0.4664 0.1382 0.6914  1 Cr 2.41, 2 Hf 2.54-2.66, 1 Ag 2.65
S15 0.4681 0.1063 0.9376  1 Hf 2.41, 1 Cr 2.49, 1 Ag 2.61
S16 0.4763 0.6042 0.7083  1 Cr 2.40, 1 Hf 2.52
S17 0.5237 0.3958 0.2083  1 Cr 2.40, 1 Hf 2.52
S18 0.5319 0.8937 0.4376  1 Hf 2.41, 1 Cr 2.49, 1 Ag 2.61
S19 0.5336 0.8618 0.1914  1 Cr 2.41, 2 Hf 2.54-2.66, 1 Ag 2.65
S20 0.5382 0.3473 0.4596  1 Cr 2.50, 2 Hf 2.58, 1 Ag 2.65
S21 0.7282 0.3751 0.8149  2 Cr 2.37-2.45, 1 Hf 2.56, 1 Ag 2.62
S22 0.7287 0.8799 0.8329  2 Cr 2.46-2.51, 1 Hf 2.57
S23 0.7323 0.1347 0.0891  2 Hf 2.49-2.56, 2 Ag 2.62-2.66
S24 0.7395 0.6245 0.0891  1 Cr 2.31, 1 Hf 2.58
S25 0.7605 0.6245 0.5891  1 Cr 2.31, 1 Hf 2.58
S26 0.7677 0.1347 0.5891  2 Hf 2.49-2.56, 2 Ag 2.62-2.66
S27 0.7713 0.8799 0.3329  2 Cr 2.46-2.51, 1 Hf 2.57
S28 0.7718 0.3751 0.3149  2 Cr 2.37-2.45, 1 Hf 2.56, 1 Ag 2.62
S29 0.9618 0.3473 0.9596  1 Cr 2.50, 2 Hf 2.58, 1 Ag 2.65
S30 0.9664 0.8618 0.6914  1 Cr 2.41, 2 Hf 2.54-2.66, 1 Ag 2.65
S31 0.9681 0.8937 0.9376  1 Hf 2.41, 1 Cr 2.49, 1 Ag 2.61
S32 0.9763 0.3958 0.7083  1 Cr 2.40, 1 Hf 2.52

Properties
polymorph energy (0 for the lowest one): 225 meV/atom
energy with MP2020 corrections: -6.58 eV per atom
formation enthalpy at 0 K: -1.007 eV per atom
total moment: 3.001 μB/f.u.

---

Entry 5:
Below is Al2CrCl8 after structural relaxation, with properties calculated at the PBE level.

Lattice parameters (Å, degrees): 15.7199 6.1903 13.7851 90.00 90.00 90.00
With the nearest neighbours (Å) after each atom.
Element x y z (fractional)
Al1 0.0054 0.1041 0.0000  4 Cl 2.11-2.23
Al2 0.2426 0.6155 0.1805  4 Cl 2.11-2.23
Al3 0.2574 0.6155 0.6805  4 Cl 2.11-2.23
Al4 0.4946 0.1041 0.5000  4 Cl 2.11-2.23
Al5 0.5054 0.8959 0.0000  4 Cl 2.11-2.23
Al6 0.7426 0.3845 0.1805  4 Cl 2.11-2.23
Al7 0.7574 0.3845 0.6805  4 Cl 2.11-2.23
Al8 0.9946 0.8959 0.5000  4 Cl 2.11-2.23
Cr1 0.1266 0.2542 0.5902  4 Cl 2.41
Cr2 0.3734 0.2542 0.0902  4 Cl 2.41
Cr3 0.6266 0.7458 0.5902  4 Cl 2.41
Cr4 0.8734 0.7458 0.0902  4 Cl 2.41
Cl1 0.0016 0.4490 0.0014  1 Al 2.14
Cl2 0.0108 0.0351 0.6481  1 Al 2.23, 1 Cr 2.41
Cl3 0.1131 0.9870 0.9252  1 Al 2.11
Cl4 0.1158 0.0381 0.4449  1 Al 2.23, 1 Cr 2.41
Cl5 0.1349 0.5013 0.2561  1 Al 2.11
Cl6 0.1364 0.4722 0.7350  1 Al 2.23, 1 Cr 2.41
Cl7 0.2422 0.4748 0.5323  1 Al 2.23, 1 Cr 2.41
Cl8 0.2471 0.9605 0.1794  1 Al 2.14
Cl9 0.2529 0.9605 0.6794  1 Al 2.14
Cl10 0.2578 0.4748 0.0323  1 Al 2.23, 1 Cr 2.41
Cl11 0.3636 0.4722 0.2350  1 Al 2.23, 1 Cr 2.41
Cl12 0.3651 0.5013 0.7561  1 Al 2.11
Cl13 0.3842 0.0381 0.9449  1 Al 2.23, 1 Cr 2.41
Cl14 0.3869 0.9870 0.4252  1 Al 2.11
Cl15 0.4892 0.0351 0.1481  1 Al 2.23, 1 Cr 2.41
Cl16 0.4984 0.4490 0.5014  1 Al 2.14
Cl17 0.5016 0.5510 0.0014  1 Al 2.14
Cl18 0.5108 0.9649 0.6481  1 Al 2.23, 1 Cr 2.41
Cl19 0.6131 0.0130 0.9252  1 Al 2.11
Cl20 0.6158 0.9619 0.4449  1 Al 2.23, 1 Cr 2.41
Cl21 0.6349 0.4987 0.2561  1 Al 2.11
Cl22 0.6364 0.5278 0.7350  1 Al 2.23, 1 Cr 2.41
Cl23 0.7422 0.5252 0.5323  1 Al 2.23, 1 Cr 2.41
Cl24 0.7471 0.0395 0.1794  1 Al 2.14
Cl25 0.7529 0.0395 0.6794  1 Al 2.14
Cl26 0.7578 0.5252 0.0323  1 Al 2.23, 1 Cr 2.41
Cl27 0.8636 0.5278 0.2350  1 Al 2.23, 1 Cr 2.41
Cl28 0.8651 0.4987 0.7561  1 Al 2.11
Cl29 0.8842 0.9619 0.9449  1 Al 2.23, 1 Cr 2.41
Cl30 0.8869 0.0130 0.4252  1 Al 2.11
Cl31 0.9892 0.9649 0.1481  1 Al 2.23, 1 Cr 2.41
Cl32 0.9984 0.5510 0.5014  1 Al 2.14

Properties
energy with MP2020 corrections: -4.71 eV per atom
formation enthalpy at 0 K: -1.811 eV per atom
total moment: 4.000 μB/f.u.

---

Entry 6:
Below is Cs3B6H12S4Br after structural relaxation, with properties calculated at the PBE level.

Lattice parameters (Å, degrees): 10.5409 10.5409 8.8291 90.00 90.00 120.00
With the nearest neighbours (Å) after each atom.
Element x y z (fractional)
Cs1 0.1583 0.3167 0.0000  8 H 3.14-3.35
Cs2 0.1583 0.8417 0.0000  8 H 3.14-3.35
Cs3 0.3167 0.1583 0.5000  8 H 3.14-3.35
Cs4 0.6833 0.8417 0.0000  8 H 3.14-3.35
Cs5 0.8417 0.1583 0.5000  8 H 3.14-3.35
Cs6 0.8417 0.6833 0.5000  8 H 3.14-3.35
B1 0.1394 0.5697 0.6627  2 H 1.22
B2 0.2351 0.4702 0.3719  2 H 1.21
B3 0.2351 0.7649 0.3719  2 H 1.21
B4 0.4303 0.5697 0.6627  2 H 1.22
B5 0.4303 0.8606 0.6627  2 H 1.22
B6 0.4702 0.2351 0.8719  2 H 1.21
B7 0.5298 0.7649 0.3719  2 H 1.21
B8 0.5697 0.1394 0.1627  2 H 1.22
B9 0.5697 0.4303 0.1627  2 H 1.22
B10 0.7649 0.2351 0.8719  2 H 1.21
B11 0.7649 0.5298 0.8719  2 H 1.21
B12 0.8606 0.4303 0.1627  2 H 1.22
H1 0.0115 0.5057 0.6228  1 B 1.22
H2 0.1091 0.4108 0.3281  1 B 1.21
H3 0.1091 0.6983 0.3281  1 B 1.21
H4 0.1516 0.5758 0.8001  1 B 1.22
H5 0.3017 0.4108 0.3281  1 B 1.21
H6 0.3017 0.8909 0.3281  1 B 1.21
H7 0.4108 0.1091 0.8281  1 B 1.21
H8 0.4108 0.3017 0.8281  1 B 1.21
H9 0.4242 0.5758 0.8001  1 B 1.22
H10 0.4242 0.8484 0.8001  1 B 1.22
H11 0.4943 0.5057 0.6228  1 B 1.22
H12 0.4943 0.9885 0.6228  1 B 1.22
H13 0.5057 0.0115 0.1228  1 B 1.22
H14 0.5057 0.4943 0.1228  1 B 1.22
H15 0.5758 0.1516 0.3001  1 B 1.22
H16 0.5758 0.4242 0.3001  1 B 1.22
H17 0.5892 0.6983 0.3281  1 B 1.21
H18 0.5892 0.8909 0.3281  1 B 1.21
H19 0.6983 0.1091 0.8281  1 B 1.21
H20 0.6983 0.5892 0.8281  1 B 1.21
H21 0.8484 0.4242 0.3001  1 B 1.22
H22 0.8909 0.3017 0.8281  1 B 1.21
H23 0.8909 0.5892 0.8281  1 B 1.21
H24 0.9885 0.4943 0.1228  1 B 1.22
S1 0.2313 0.4626 0.5905  3 B 1.93
S2 0.2313 0.7687 0.5905  3 B 1.93
S3 0.3333 0.6667 0.2904  3 B 1.93
S4 0.4626 0.2313 0.0905  3 B 1.93
S5 0.5374 0.7687 0.5905  3 B 1.93
S6 0.6667 0.3333 0.7904  3 B 1.93
S7 0.7687 0.2313 0.0905  3 B 1.93
S8 0.7687 0.5374 0.0905  3 B 1.93
Br1 0.0000 0.0000 0.2526  6 Cs 3.62-3.65, 6 H 3.94
Br2 0.0000 0.0000 0.7526  6 Cs 3.62-3.65, 6 H 3.94

Properties
energy with MP2020 corrections: -4.52 eV per atom
formation enthalpy at 0 K: -0.614 eV per atom
total moment: 0.000 μB/f.u.

---

Q: The highest formation enthalpy at 0 K belongs to which entry?
A: Co3Rh

---

Q: Among the records above, which one has the highest formation enthalpy at 0 K?
A: Co3Rh